Compound: Li2Fe2NiO6
Source: Materials Project
Functional: GGA+U
Structure: optimized geometry

Geometry as POSCAR:
```
Li2Fe2NiO6
1.0
-4.278 -2.254 1.452
3.461 -2.591 -2.607
4.436 -2.820 8.693
Li Fe Ni O
4 4 2 12
direct
0.159 0.659 0.250 Li
0.341 0.841 0.750 Li
0.659 0.159 0.250 Li
0.841 0.341 0.750 Li
0.336 0.664 0.000 Fe
0.164 0.836 0.500 Fe
0.836 0.164 0.500 Fe
0.664 0.336 0.000 Fe
0.500 0.500 0.500 Ni
0.000 0.000 0.000 Ni
0.144 0.507 0.605 O
0.856 0.493 0.395 O
0.007 0.644 0.895 O
0.356 0.993 0.105 O
0.649 0.649 0.098 O
0.851 0.851 0.598 O
0.149 0.149 0.402 O
0.493 0.856 0.395 O
0.351 0.351 0.902 O
0.644 0.007 0.895 O
0.993 0.356 0.105 O
0.507 0.144 0.605 O
```

Computed properties:
* E_form: -1527 meV/atom
* space-group type: No. 64
* total magnetization: 10.00 μB/f.u.
* DFT total energy: -5.62 eV/atom